The following is a DFT calculation (r²SCAN) of a relaxed NaGdTl2 crystal.

calculated total energy = -154.5 eV/f.u.
space-group type = No. 225
total magnetization = 7.1 μB/f.u.
energy relative to the elements = -0.3034 eV/atom

Cell: 5.327 5.327 5.327 Å, 60.00 60.00 60.00°
Atoms (fractional coordinates):
Na (0.000, 0.000, 0.000)
Gd (0.500, 0.500, 0.500)
Tl (0.250, 0.250, 0.250)
Tl (0.750, 0.750, 0.750)